Record 1
# BaZnSb4O8 | Materials Project | PBE | relaxed
data_BaZnSb4O8
_cell_length_a 6.1414
_cell_length_b 6.1414
_cell_length_c 7.1770
_cell_angle_alpha 90.00
_cell_angle_beta 90.00
_cell_angle_gamma 120.00
_symmetry_space_group_name_H-M 'P -3 1 m'
_symmetry_Int_Tables_number 162
_symmetry_space_group_name_Hall '-P 3 2'
loop_
_atom_site_label
_atom_site_fract_x
_atom_site_fract_y
_atom_site_fract_z
Ba1 0.0000 0.0000 0.0000
Zn1 0.0000 0.0000 0.5000
Sb1 0.3333 0.6667 0.2825
O1 0.0000 0.2879 0.2973
O2 0.3333 0.6667 0.0000
# Uncorrected energy   -77.5 eV per cell
# Energy of formation   -1.693 eV per atom



Record 2
# Ba8Zr3Sb4O24 | Materials Project | PBE | relaxed
data_Ba8Zr3Sb4O24
_cell_length_a 8.392
_cell_length_b 8.392
_cell_length_c 16.874
_cell_angle_alpha 90.00
_cell_angle_beta 90.00
_cell_angle_gamma 90.00
_symmetry_space_group_name_H-M 'I 4/m m m'
_symmetry_Int_Tables_number 139
_symmetry_space_group_name_Hall '-I 4 2'
loop_
_atom_site_label
_atom_site_fract_x
_atom_site_fract_y
_atom_site_fract_z
Ba1 0.233 0.233 0.118
Zr1 0.000 0.000 0.500
Zr2 0.000 0.500 0.250
Sb1 0.000 0.000 0.256
Sb2 0.000 0.500 0.000
O1 0.000 0.000 0.141
O2 0.000 0.000 0.374
O3 0.000 0.246 0.255
O4 0.000 0.252 0.500
O5 0.000 0.271 0.000
O6 0.000 0.500 0.124
# Uncorrected energy   -552.8 eV per cell
# Energy of formation   -2.990 eV per atom



Record 3
# BaScO3 | Materials Project | PBE | relaxed
data_BaScO3
_cell_length_a 4.220
_cell_length_b 4.220
_cell_length_c 4.220
_cell_angle_alpha 90.00
_cell_angle_beta 90.00
_cell_angle_gamma 90.00
_symmetry_space_group_name_H-M 'P m -3 m'
_symmetry_Int_Tables_number 221
_symmetry_space_group_name_Hall '-P 4 2 3'
loop_
_atom_site_label
_atom_site_fract_x
_atom_site_fract_y
_atom_site_fract_z
Ba1 0.000 0.000 0.000
Sc1 0.500 0.500 0.500
O1 0.000 0.500 0.500
# Uncorrected energy   -37.1 eV per cell
# Energy of formation   -3.207 eV per atom



Record 4
# BaSc2O4 | Materials Project | PBE | relaxed
data_BaSc2O4
_cell_length_a 9.927
_cell_length_b 5.877
_cell_length_c 20.740
_cell_angle_alpha 90.00
_cell_angle_beta 90.04
_cell_angle_gamma 90.00
_symmetry_space_group_name_H-M 'C 1 2/c 1'
_symmetry_Int_Tables_number 15
_symmetry_space_group_name_Hall '-C 2yc'
loop_
_atom_site_label
_atom_site_fract_x
_atom_site_fract_y
_atom_site_fract_z
Ba1 0.000 0.107 0.250
Ba2 0.166 0.392 0.638
Sc1 0.002 0.115 0.429
Sc2 0.163 0.379 0.947
Sc3 0.168 0.392 0.805
O1 0.000 0.427 0.750
O2 0.000 0.500 0.000
O3 0.068 0.162 0.876
O4 0.107 0.357 0.381
O5 0.152 0.055 0.997
O6 0.170 0.148 0.125
O7 0.236 0.133 0.749
# Uncorrected energy   -689.5 eV per cell
# Energy of formation   -3.690 eV per atom



Record 5
# Ba9Sc2Si6O24 | Materials Project | PBE | relaxed
data_Ba9Sc2Si6O24
_cell_length_a 9.9998
_cell_length_b 9.9998
_cell_length_c 22.2347
_cell_angle_alpha 90.00
_cell_angle_beta 90.00
_cell_angle_gamma 120.00
_symmetry_space_group_name_H-M 'R -3'
_symmetry_Int_Tables_number 148
_symmetry_space_group_name_Hall '-R 3'
loop_
_atom_site_label
_atom_site_fract_x
_atom_site_fract_y
_atom_site_fract_z
Ba1 0.0000 0.0000 0.0000
Ba2 0.0000 0.0000 0.3366
Ba3 0.0046 0.3105 0.5581
Sc1 0.0000 0.0000 0.1648
Si1 0.0055 0.3594 0.4097
O1 0.0049 0.1993 0.4263
O2 0.0092 0.1770 0.7812
O3 0.0102 0.8333 0.8941
O4 0.0242 0.4105 0.3398
# Uncorrected energy   -917.9 eV per cell
# Energy of formation   -3.445 eV per atom



Record 6
# BaSc2Si3O10 | Materials Project | PBE | relaxed
data_BaSc2Si3O10
_cell_length_a 5.338
_cell_length_b 12.084
_cell_length_c 6.659
_cell_angle_alpha 90.00
_cell_angle_beta 106.93
_cell_angle_gamma 90.00
_symmetry_space_group_name_H-M 'P 1 21/m 1'
_symmetry_Int_Tables_number 11
_symmetry_space_group_name_Hall '-P 2yb'
loop_
_atom_site_label
_atom_site_fract_x
_atom_site_fract_y
_atom_site_fract_z
Ba1 0.239 0.250 0.478
Sc1 0.154 0.601 0.178
Si1 0.302 0.554 0.710
Si2 0.429 0.250 0.013
O1 0.100 0.542 0.857
O2 0.125 0.250 0.865
O3 0.150 0.612 0.486
O4 0.343 0.750 0.106
O5 0.458 0.060 0.702
O6 0.462 0.143 0.171
# Uncorrected energy   -260.5 eV per cell
# Energy of formation   -3.548 eV per atom



Record 7
# Ba2ScTaO6 | Materials Project | PBE | relaxed
data_Ba2ScTaO6
_cell_length_a 8.315
_cell_length_b 8.315
_cell_length_c 8.315
_cell_angle_alpha 90.00
_cell_angle_beta 90.00
_cell_angle_gamma 90.00
_symmetry_space_group_name_H-M 'F m -3 m'
_symmetry_Int_Tables_number 225
_symmetry_space_group_name_Hall '-F 4 2 3'
loop_
_atom_site_label
_atom_site_fract_x
_atom_site_fract_y
_atom_site_fract_z
Ba1 0.250 0.250 0.250
Sc1 0.000 0.000 0.000
Ta1 0.000 0.000 0.500
O1 0.000 0.000 0.257
# Uncorrected energy   -334.1 eV per cell
# Energy of formation   -3.594 eV per atom



Record 8
# Ba2ScUO6 | Materials Project | PBE | relaxed
data_Ba2ScUO6
_cell_length_a 8.572
_cell_length_b 8.572
_cell_length_c 8.572
_cell_angle_alpha 90.00
_cell_angle_beta 90.00
_cell_angle_gamma 90.00
_symmetry_space_group_name_H-M 'F m -3 m'
_symmetry_Int_Tables_number 225
_symmetry_space_group_name_Hall '-F 4 2 3'
loop_
_atom_site_label
_atom_site_fract_x
_atom_site_fract_y
_atom_site_fract_z
Ba1 0.250 0.250 0.250
Sc1 0.000 0.000 0.000
U1 0.000 0.000 0.500
O1 0.000 0.000 0.248
# Uncorrected energy   -335.1 eV per cell
# Energy of formation   -3.676 eV per atom



Record 9
# BaSrTbSeO6 | Materials Project | PBE | relaxed
data_BaSrTbSeO6
_cell_length_a 8.368
_cell_length_b 8.368
_cell_length_c 8.368
_cell_angle_alpha 90.00
_cell_angle_beta 90.00
_cell_angle_gamma 90.00
_symmetry_space_group_name_H-M 'F -4 3 m'
_symmetry_Int_Tables_number 216
_symmetry_space_group_name_Hall 'F -4 2 3'
loop_
_atom_site_label
_atom_site_fract_x
_atom_site_fract_y
_atom_site_fract_z
Ba1 0.000 0.000 0.000
Sr1 0.000 0.000 0.500
Tb1 0.250 0.250 0.250
Se1 0.250 0.250 0.750
O1 0.016 0.250 0.750
# Uncorrected energy   -255.5 eV per cell
# Energy of formation   -2.656 eV per atom



Record 10
# BaZnSe4O12 | Materials Project | PBE | relaxed
data_BaZnSe4O12
_cell_length_a 5.484
_cell_length_b 5.484
_cell_length_c 7.585
_cell_angle_alpha 90.00
_cell_angle_beta 90.00
_cell_angle_gamma 90.00
_symmetry_space_group_name_H-M 'P 4/m m m'
_symmetry_Int_Tables_number 123
_symmetry_space_group_name_Hall '-P 4 2'
loop_
_atom_site_label
_atom_site_fract_x
_atom_site_fract_y
_atom_site_fract_z
Ba1 0.000 0.000 0.000
Zn1 0.500 0.500 0.500
Se1 0.000 0.500 0.258
O1 0.000 0.500 0.000
O2 0.000 0.500 0.500
O3 0.260 0.260 0.278
# Uncorrected energy   -85.3 eV per cell
# Energy of formation   -0.945 eV per atom



Record 11
# BaSi2O9 | Materials Project | PBE | relaxed
data_BaSi2O9
_cell_length_a 5.376
_cell_length_b 7.836
_cell_length_c 16.010
_cell_angle_alpha 90.00
_cell_angle_beta 90.00
_cell_angle_gamma 90.00
_symmetry_space_group_name_H-M 'P n m a'
_symmetry_Int_Tables_number 62
_symmetry_space_group_name_Hall '-P 2ac 2n'
loop_
_atom_site_label
_atom_site_fract_x
_atom_site_fract_y
_atom_site_fract_z
Ba1 0.180 0.250 0.019
Si1 0.186 0.543 0.799
O1 0.062 0.526 0.252
O2 0.134 0.110 0.586
O3 0.168 0.016 0.896
O4 0.177 0.750 0.791
O5 0.183 0.250 0.453
O6 0.203 0.250 0.624
# Uncorrected energy   -305.1 eV per cell
# Energy of formation   -1.582 eV per atom
# Energy relative to the lowest polymorph listed for this composition   21.4 kJ/mol of atoms



Record 12
# BaSi2O9 | Materials Project | PBE | relaxed
data_BaSi2O9
_cell_length_a 5.475
_cell_length_b 8.285
_cell_length_c 17.213
_cell_angle_alpha 89.99
_cell_angle_beta 89.88
_cell_angle_gamma 89.95
_symmetry_space_group_name_H-M 'P 1'
_symmetry_Int_Tables_number 1
_symmetry_space_group_name_Hall 'P 1'
loop_
_atom_site_label
_atom_site_fract_x
_atom_site_fract_y
_atom_site_fract_z
Ba1 0.000 0.000 0.000
Ba2 0.230 0.501 0.500
Ba3 0.498 0.000 0.499
Ba4 0.729 0.500 0.998
Si1 0.077 0.195 0.706
Si2 0.078 0.806 0.706
Si3 0.152 0.305 0.205
Si4 0.152 0.695 0.206
Si5 0.576 0.195 0.793
Si6 0.577 0.806 0.793
Si7 0.651 0.305 0.293
Si8 0.651 0.695 0.293
O1 0.039 0.000 0.423
O2 0.080 0.000 0.695
O3 0.082 0.283 0.618
O4 0.082 0.718 0.618
O5 0.148 0.217 0.118
O6 0.148 0.783 0.118
O7 0.151 0.500 0.195
O8 0.191 0.500 0.925
O9 0.232 0.501 0.998
O10 0.312 0.251 0.758
O11 0.313 0.750 0.758
O12 0.326 0.238 0.588
O13 0.326 0.762 0.588
O14 0.403 0.263 0.410
O15 0.403 0.738 0.410
O16 0.416 0.751 0.241
O17 0.417 0.249 0.241
O18 0.497 0.000 0.001
O19 0.539 0.000 0.074
O20 0.577 0.000 0.804
O21 0.581 0.283 0.880
O22 0.581 0.717 0.880
O23 0.647 0.218 0.380
O24 0.647 0.783 0.380
O25 0.649 0.500 0.304
O26 0.690 0.501 0.575
O27 0.734 0.500 0.502
O28 0.812 0.251 0.741
O29 0.813 0.750 0.741
O30 0.822 0.235 0.911
O31 0.822 0.766 0.911
O32 0.907 0.265 0.087
O33 0.907 0.735 0.087
O34 0.916 0.249 0.257
O35 0.916 0.750 0.257
O36 0.995 0.001 0.496
# Uncorrected energy   -310.0 eV per cell
# Energy of formation   -1.803 eV per atom
# Energy relative to the lowest polymorph listed for this composition   0.0 kJ/mol of atoms